[1]
## SmYZn2 (r²SCAN)

Data for an optimized crystal structure of SmYZn2. Values from VASP.

Space-group type: No. 225
Calculated formation energy: -362 meV/atom

Geometry as Quantum ESPRESSO input:
```
&SYSTEM
  ibrav = 0, nat = 4, ntyp = 3
/
ATOMIC_SPECIES
Sm 150.36 Sm.upf
Y 88.91 Y.upf
Zn 65.41 Zn.upf
CELL_PARAMETERS angstrom
-3.4507 0.8544 3.6391
-4.5593 -2.2441 -0.2405
-1.1946 -3.6919 3.2899
ATOMIC_POSITIONS crystal
Sm 0.2500 0.2500 0.2500
Y 0.7500 0.7500 0.7500
Zn 0.0000 0.0000 0.0000
Zn 0.5000 0.5000 0.5000
```

***

[2]
## Yb3Sm (r²SCAN)

Data for an optimized crystal structure of Yb3Sm. Values from VASP.

Space-group type: No. 194
Calculated formation energy: -5 meV/atom

Geometry as Quantum ESPRESSO input:
```
&SYSTEM
  ibrav = 0, nat = 8, ntyp = 2
/
ATOMIC_SPECIES
Yb 173.04 Yb.upf
Sm 150.36 Sm.upf
CELL_PARAMETERS angstrom
-1.9250 5.3436 4.3756
-4.0747 -1.6370 -5.6677
-2.8849 -3.5856 3.1097
ATOMIC_POSITIONS crystal
Yb 0.1656 0.3313 0.2500
Yb 0.6687 0.8344 0.2500
Yb 0.1656 0.8344 0.2500
Yb 0.8344 0.6687 0.7500
Yb 0.3313 0.1656 0.7500
Yb 0.8344 0.1656 0.7500
Sm 0.3333 0.6667 0.7500
Sm 0.6667 0.3333 0.2500
```

***

[3]
## YbSm3 (r²SCAN)

Data for an optimized crystal structure of YbSm3. Values from VASP.

Space-group type: No. 139
Calculated formation energy: 28 meV/atom

Geometry as Quantum ESPRESSO input:
```
&SYSTEM
  ibrav = 0, nat = 4, ntyp = 2
/
ATOMIC_SPECIES
Yb 173.04 Yb.upf
Sm 150.36 Sm.upf
CELL_PARAMETERS angstrom
-2.5455 2.5455 5.0490
2.5455 -2.5455 5.0490
2.5455 2.5455 -5.0490
ATOMIC_POSITIONS crystal
Yb 0.0000 0.0000 0.0000
Sm 0.7500 0.2500 0.5000
Sm 0.2500 0.7500 0.5000
Sm 0.5000 0.5000 0.0000
```

***

[4]
## YbSm3 (r²SCAN)

Data for an optimized crystal structure of YbSm3. Values from VASP.

Space-group type: No. 194
Calculated formation energy: 7 meV/atom

Geometry as Quantum ESPRESSO input:
```
&SYSTEM
  ibrav = 0, nat = 8, ntyp = 2
/
ATOMIC_SPECIES
Yb 173.04 Yb.upf
Sm 150.36 Sm.upf
CELL_PARAMETERS angstrom
2.8312 6.5197 -1.8095
-6.6645 -0.3885 3.0381
2.3590 0.4270 5.2294
ATOMIC_POSITIONS crystal
Yb 0.3333 0.6667 0.7500
Yb 0.6667 0.3333 0.2500
Sm 0.1684 0.3367 0.2500
Sm 0.6633 0.8316 0.2500
Sm 0.1684 0.8316 0.2500
Sm 0.8316 0.6633 0.7500
Sm 0.3367 0.1684 0.7500
Sm 0.8316 0.1684 0.7500
```

***

[5]
## SmZn12 (r²SCAN)

Data for an optimized crystal structure of SmZn12. Values from VASP.

Space-group type: No. 12
Calculated formation energy: -216 meV/atom

Geometry as Quantum ESPRESSO input:
```
&SYSTEM
  ibrav = 0, nat = 13, ntyp = 2
/
ATOMIC_SPECIES
Sm 150.36 Sm.upf
Zn 65.41 Zn.upf
CELL_PARAMETERS angstrom
-0.9957 4.5349 2.0588
0.9697 0.0273 6.6780
5.4556 3.9679 0.1675
ATOMIC_POSITIONS crystal
Sm 0.0000 0.0000 0.0000
Zn 0.7197 0.7808 0.7808
Zn 0.5000 0.0000 0.5000
Zn 0.0000 0.5000 0.0000
Zn 0.5000 0.5000 0.0000
Zn 0.0000 0.0000 0.5000
Zn 0.3570 0.6446 0.6446
Zn 0.0000 0.3555 0.6445
Zn 0.0000 0.6445 0.3555
Zn 0.6430 0.3554 0.3554
Zn 0.2803 0.2192 0.2192
Zn 0.5000 0.7812 0.2188
Zn 0.5000 0.2188 0.7812
```

***

[6]
## Sm2Zn17 (r²SCAN)

Data for an optimized crystal structure of Sm2Zn17. Values from VASP.

Space-group type: No. 166
Calculated formation energy: -291 meV/atom

Geometry as Quantum ESPRESSO input:
```
&SYSTEM
  ibrav = 0, nat = 19, ntyp = 2
/
ATOMIC_SPECIES
Sm 150.36 Sm.upf
Zn 65.41 Zn.upf
CELL_PARAMETERS angstrom
-0.6461 -4.9016 -4.5682
6.2131 -2.5180 0.6067
-1.5296 -4.9438 4.3047
ATOMIC_POSITIONS crystal
Sm 0.6638 0.6638 0.6638
Sm 0.3362 0.3362 0.3362
Zn 0.3502 0.3502 0.8394
Zn 0.3502 0.8394 0.3502
Zn 0.0992 0.0992 0.0992
Zn 0.9008 0.9008 0.9008
Zn 0.0000 0.0000 0.5000
Zn 0.5000 0.0000 0.0000
Zn 0.0000 0.5000 0.0000
Zn 0.7066 0.2934 0.0000
Zn 0.0000 0.7066 0.2934
Zn 0.2934 0.0000 0.7066
Zn 0.2934 0.7066 0.0000
Zn 0.0000 0.2934 0.7066
Zn 0.7066 0.0000 0.2934
Zn 0.6498 0.1606 0.6498
Zn 0.6498 0.6498 0.1606
Zn 0.1606 0.6498 0.6498
Zn 0.8394 0.3502 0.3502
```

***

[7]
## SmZn3 (r²SCAN)

Data for an optimized crystal structure of SmZn3. Values from VASP.

Space-group type: No. 62
Calculated formation energy: -388 meV/atom

Geometry as Quantum ESPRESSO input:
```
&SYSTEM
  ibrav = 0, nat = 16, ntyp = 2
/
ATOMIC_SPECIES
Sm 150.36 Sm.upf
Zn 65.41 Zn.upf
CELL_PARAMETERS angstrom
-2.7117 -3.1945 -1.4587
-0.8650 -2.1392 6.2926
-7.8769 6.2158 1.0302
ATOMIC_POSITIONS crystal
Sm 0.2500 0.2824 0.6579
Sm 0.2500 0.7824 0.8421
Sm 0.7500 0.7176 0.3422
Sm 0.7500 0.2176 0.1578
Zn 0.2500 0.5340 0.1056
Zn 0.2500 0.0340 0.3944
Zn 0.7500 0.4659 0.8942
Zn 0.7500 0.9659 0.6058
Zn 0.2500 0.9113 0.1474
Zn 0.2500 0.4113 0.3526
Zn 0.7500 0.0887 0.8524
Zn 0.7500 0.5887 0.6476
Zn 0.2500 0.2222 0.9541
Zn 0.2500 0.7222 0.5459
Zn 0.7500 0.7778 0.0456
Zn 0.7500 0.2778 0.4544
```

***

[8]
## Sm3Zn22 (r²SCAN)

Data for an optimized crystal structure of Sm3Zn22. Values from VASP.

Space-group type: No. 141
Calculated formation energy: -309 meV/atom

Geometry as Quantum ESPRESSO input:
```
&SYSTEM
  ibrav = 0, nat = 50, ntyp = 2
/
ATOMIC_SPECIES
Sm 150.36 Sm.upf
Zn 65.41 Zn.upf
CELL_PARAMETERS angstrom
-2.7764 1.9753 -8.0537
-1.3500 -8.4875 -1.6163
-7.7314 4.1302 8.4259
ATOMIC_POSITIONS crystal
Sm 0.4964 0.7464 0.9928
Sm 0.7464 0.4964 0.4928
Sm 0.5036 0.2536 0.0072
Sm 0.2536 0.5036 0.5072
Sm 0.1250 0.8750 0.2500
Sm 0.8750 0.1250 0.7500
Zn 0.4214 0.1963 0.3776
Zn 0.4214 0.6813 0.3776
Zn 0.1963 0.4214 0.8776
Zn 0.1963 0.9562 0.8776
Zn 0.9562 0.1963 0.3776
Zn 0.9562 0.6813 0.3776
Zn 0.6813 0.4214 0.8776
Zn 0.6813 0.9562 0.8776
Zn 0.5786 0.8037 0.6224
Zn 0.5786 0.3187 0.6224
Zn 0.8037 0.5786 0.1224
Zn 0.8037 0.0438 0.1224
Zn 0.0438 0.8037 0.6224
Zn 0.0438 0.3187 0.6224
Zn 0.3187 0.5786 0.1224
Zn 0.3187 0.0438 0.1224
Zn 0.1500 0.6234 0.7468
Zn 0.6234 0.1500 0.2468
Zn 0.6234 0.5967 0.2468
Zn 0.5967 0.6234 0.7468
Zn 0.8500 0.3766 0.2532
Zn 0.3766 0.8500 0.7532
Zn 0.3766 0.4033 0.7532
Zn 0.4033 0.3766 0.2532
Zn 0.4858 0.8829 0.2658
Zn 0.8829 0.4858 0.7658
Zn 0.8829 0.7800 0.7658
Zn 0.7800 0.8829 0.2658
Zn 0.5142 0.1171 0.7342
Zn 0.1171 0.5142 0.2342
Zn 0.1171 0.2200 0.2342
Zn 0.2200 0.1171 0.7342
Zn 0.8350 0.7371 0.9743
Zn 0.7371 0.8350 0.4743
Zn 0.7371 0.1392 0.4743
Zn 0.1392 0.7371 0.9743
Zn 0.1650 0.2629 0.0257
Zn 0.2629 0.1650 0.5257
Zn 0.2629 0.8608 0.5257
Zn 0.8608 0.2629 0.0257
Zn 0.5000 0.0000 0.5000
Zn 0.0000 0.5000 0.0000
Zn 0.0000 0.0000 0.0000
Zn 0.0000 0.0000 0.5000
```